[1]
The following is a DFT calculation (PBE-GGA) of an optimized crystal structure of IrRh3.

Properties
- DFT total energy (eV for the cell shown) = -30.88
- SG = No. 221
- volume (Å³/atom) = 14.35

POSCAR file:
```
IrRh3
1.0
3.857 0.000 0.000
0.000 3.857 0.000
0.000 0.000 3.857
Ir Rh
1 3
Direct
0.000 0.000 0.000
0.500 0.500 0.000
0.000 0.500 0.500
0.500 0.000 0.500
```

---

[2]
The following is a DFT calculation (PBE-GGA) of an optimized crystal structure of Sr5Ir3O11.

Properties
- DFT total energy (eV for the cell shown) = -124.02
- SG = No. 5
- volume (Å³/atom) = 13.94

POSCAR file:
```
Sr5Ir3O11
1.0
2.833 2.787 0.000
-2.833 2.787 0.000
0.000 0.085 16.770
Sr O Ir
5 11 3
Direct
0.019 0.015 0.730
0.510 0.483 0.111
0.517 0.490 0.889
0.985 0.981 0.270
0.000 0.000 0.500
0.004 0.992 0.124
0.010 0.558 0.621
0.442 0.990 0.379
0.558 0.010 0.621
0.008 0.996 0.876
0.505 0.503 0.744
0.497 0.495 0.256
0.500 0.500 0.500
0.990 0.442 0.379
0.032 0.490 0.000
0.510 0.968 0.000
0.495 0.495 0.377
0.505 0.505 0.623
0.008 0.992 0.000
```

---

[3]
The following is a DFT calculation (PBE-GGA) of an optimized crystal structure of YHoZn2.

Properties
- DFT total energy (eV for the cell shown) = -15.00
- SG = No. 225
- volume (Å³/atom) = 22.90

POSCAR file:
```
YHoZn2
1.0
4.634 -2.004 0.336
0.908 -3.738 3.287
0.853 -4.695 -1.681
Ho Zn Y
1 2 1
Direct
0.500 0.500 0.500
0.250 0.250 0.250
0.750 0.750 0.750
0.000 0.000 0.000
```

---

[4]
The following is a DFT calculation (PBE-GGA) of an optimized crystal structure of Ca7Si16O40.

Properties
- DFT total energy (eV for the cell shown) = -477.02
- SG = No. 2
- volume (Å³/atom) = 15.81

POSCAR file:
```
Ca7Si16O40
1.0
7.637 -1.743 5.939
-2.752 -6.785 -6.580
7.884 8.014 -5.584
O Si Ca
40 16 7
Direct
0.155 0.579 0.825
0.845 0.421 0.175
0.195 0.765 0.179
0.461 0.333 0.405
0.746 0.763 0.396
0.693 0.581 0.175
0.689 0.382 0.590
0.539 0.667 0.595
0.741 0.926 0.758
0.389 0.960 0.600
0.328 0.374 0.252
0.806 0.078 0.599
0.098 0.521 0.603
0.084 0.412 0.239
0.611 0.040 0.400
0.637 0.372 0.802
0.916 0.588 0.761
0.194 0.922 0.401
0.202 0.821 0.746
0.336 0.667 0.004
0.363 0.628 0.198
0.028 0.154 0.743
0.902 0.479 0.397
0.664 0.333 0.996
0.798 0.179 0.254
0.491 0.073 0.821
0.537 0.276 0.187
0.463 0.724 0.813
0.672 0.626 0.748
0.972 0.846 0.257
0.949 0.784 0.563
0.311 0.618 0.410
0.259 0.074 0.242
0.307 0.419 0.825
0.509 0.927 0.179
0.273 0.122 0.765
0.051 0.216 0.437
0.727 0.878 0.235
0.805 0.235 0.821
0.254 0.237 0.604
0.842 0.099 0.729
0.271 0.510 0.277
0.218 0.236 0.734
0.350 0.747 0.139
0.342 0.995 0.731
0.684 0.401 0.132
0.316 0.599 0.868
0.094 0.625 0.733
0.398 0.265 0.273
0.658 0.005 0.269
0.602 0.735 0.727
0.158 0.901 0.271
0.782 0.764 0.266
0.729 0.490 0.723
0.906 0.375 0.267
0.650 0.253 0.861
0.291 0.440 0.518
0.565 0.854 0.499
0.709 0.560 0.482
0.435 0.146 0.501
0.858 0.285 0.502
0.000 0.000 0.500
0.142 0.715 0.498
```

---

[5]
The following is a DFT calculation (PBE-GGA) of an optimized crystal structure of Cs2NbAgF6.

Properties
- DFT total energy (eV for the cell shown) = -49.83
- SG = No. 225
- volume (Å³/atom) = 19.79

POSCAR file:
```
Cs2NbAgF6
1.0
0.000 4.626 4.626
4.626 0.000 4.626
4.626 4.626 0.000
Cs Nb F Ag
2 1 6 1
Direct
0.750 0.750 0.750
0.250 0.250 0.250
0.000 0.000 0.000
0.229 0.229 0.771
0.229 0.771 0.771
0.771 0.771 0.229
0.229 0.771 0.229
0.771 0.229 0.771
0.771 0.229 0.229
0.500 0.500 0.500
```

---

[6]
The following is a DFT calculation (PBE-GGA) of an optimized crystal structure of Sr3Bi2Se6O19.

Properties
- DFT total energy (eV for the cell shown) = -336.09
- SG = No. 11
- volume (Å³/atom) = 15.61

POSCAR file:
```
Sr3Bi2Se6O19
1.0
17.724 0.000 0.000
0.000 7.182 0.000
0.000 0.243 7.356
O Sr Se Bi
38 6 12 4
Direct
0.395 0.231 0.021
0.390 0.224 0.659
0.110 0.224 0.659
0.825 0.612 0.676
0.675 0.612 0.676
0.006 0.590 0.783
0.750 0.962 0.506
0.982 0.121 0.835
0.890 0.776 0.341
0.750 0.968 0.148
0.347 0.631 0.721
0.250 0.483 0.020
0.153 0.631 0.721
0.506 0.410 0.217
0.018 0.879 0.165
0.547 0.142 0.437
0.453 0.858 0.563
0.750 0.517 0.980
0.847 0.369 0.279
0.828 0.140 0.753
0.175 0.388 0.324
0.325 0.388 0.324
0.047 0.858 0.563
0.172 0.860 0.247
0.250 0.038 0.494
0.328 0.860 0.247
0.518 0.121 0.835
0.482 0.879 0.165
0.672 0.140 0.753
0.250 0.032 0.852
0.953 0.142 0.437
0.494 0.590 0.783
0.994 0.410 0.217
0.895 0.769 0.979
0.653 0.369 0.279
0.605 0.769 0.979
0.105 0.231 0.021
0.610 0.776 0.341
0.250 0.359 0.665
0.394 0.596 0.064
0.894 0.404 0.936
0.606 0.404 0.936
0.750 0.641 0.335
0.106 0.596 0.064
0.081 0.090 0.844
0.070 0.617 0.608
0.250 0.828 0.391
0.430 0.617 0.608
0.581 0.910 0.156
0.919 0.910 0.156
0.750 0.687 0.810
0.930 0.383 0.392
0.250 0.313 0.190
0.570 0.383 0.392
0.750 0.172 0.609
0.419 0.090 0.844
0.084 0.096 0.338
0.584 0.904 0.662
0.416 0.096 0.338
0.916 0.904 0.662
```

---

[7]
The following is a DFT calculation (PBE-GGA) of an optimized crystal structure of Ta3O5F5.

Properties
- DFT total energy (eV for the cell shown) = -107.97
- SG = No. 71
- volume (Å³/atom) = 15.22

POSCAR file:
```
Ta3O5F5
1.0
-5.453 -11.142 3.237
-7.964 -7.487 6.699
4.717 9.710 -6.915
F Ta O
5 3 5
Direct
0.231 0.231 0.000
0.000 0.500 0.500
0.769 0.769 0.000
0.344 0.844 0.500
0.656 0.156 0.500
0.845 0.845 0.000
0.000 0.000 0.000
0.155 0.155 0.000
0.154 0.654 0.500
0.078 0.078 0.000
0.922 0.922 0.000
0.500 0.000 0.500
0.846 0.346 0.500
```

---

[8]
The following is a DFT calculation (PBE-GGA) of an optimized crystal structure of Hf2NiP.

Properties
- DFT total energy (eV for the cell shown) = -69.99
- SG = No. 11
- volume (Å³/atom) = 16.27

POSCAR file:
```
Hf2NiP
1.0
-2.255 0.124 -2.795
3.981 -0.674 -3.241
1.057 -7.257 -1.174
P Hf Ni
2 4 2
Direct
0.750 0.860 0.790
0.250 0.140 0.210
0.750 0.779 0.428
0.750 0.284 0.926
0.250 0.221 0.572
0.250 0.716 0.074
0.250 0.644 0.708
0.750 0.356 0.292
```

---

[9]
The following is a DFT calculation (PBE-GGA) of an optimized crystal structure of Na3SO4F.

Properties
- DFT total energy (eV for the cell shown) = -47.83
- SG = No. 215
- volume (Å³/atom) = 13.40
- energy relative to the lowest polymorph listed for this composition (meV/atom) = 20.0

POSCAR file:
```
Na3SO4F
1.0
4.941 0.000 0.000
0.000 4.941 0.000
0.000 0.000 4.941
Na O F S
3 4 1 1
Direct
0.000 0.000 0.500
0.000 0.500 0.000
0.500 0.000 0.000
0.675 0.675 0.325
0.325 0.325 0.325
0.325 0.675 0.675
0.675 0.325 0.675
0.000 0.000 0.000
0.500 0.500 0.500
```

---

[10]
The following is a DFT calculation (PBE-GGA) of an optimized crystal structure of SnP3O9.

Properties
- DFT total energy (eV for the cell shown) = -181.51
- SG = No. 149
- volume (Å³/atom) = 16.30
- energy relative to the lowest polymorph listed for this composition (meV/atom) = 0.0

POSCAR file:
```
SnP3O9
1.0
-6.507 -1.977 -0.194
4.449 -2.494 -4.502
2.220 -7.954 6.600
O P Sn
18 6 2
Direct
0.979 0.713 0.648
0.479 0.379 0.211
0.745 0.997 0.892
0.745 0.748 0.108
0.621 0.521 0.789
0.901 0.521 0.211
0.735 0.021 0.648
0.979 0.265 0.352
0.621 0.099 0.211
0.287 0.021 0.352
0.003 0.255 0.108
0.479 0.099 0.789
0.003 0.748 0.892
0.252 0.997 0.108
0.901 0.379 0.789
0.735 0.713 0.352
0.287 0.265 0.648
0.252 0.255 0.892
0.720 0.608 0.227
0.392 0.112 0.227
0.720 0.112 0.773
0.392 0.280 0.773
0.888 0.608 0.773
0.888 0.280 0.227
0.000 0.000 0.500
0.000 0.000 0.000
```

---

[11]
The following is a DFT calculation (PBE-GGA) of an optimized crystal structure of Te2Au.

Properties
- DFT total energy (eV for the cell shown) = -39.20
- SG = No. 7
- volume (Å³/atom) = 27.94

POSCAR file:
```
Te2Au
1.0
-2.129 -0.411 3.865
-7.630 -1.714 -4.386
-3.233 -9.373 -2.778
Au Te
4 8
Direct
0.996 0.247 0.626
0.489 0.747 0.375
0.511 0.747 0.875
0.004 0.247 0.126
0.443 0.058 0.364
0.435 0.436 0.388
0.986 0.936 0.638
0.949 0.557 0.617
0.557 0.058 0.864
0.014 0.936 0.138
0.051 0.557 0.117
0.565 0.436 0.888
```

---

volume of number 10 (SnP3O9)? 16.30 Å³/atom

---

What is the formula in the second record? Sr5Ir3O11

---

Among the records above, which one has the highest volume? Te2Au

---

Which of these has the lowest DFT total energy? Ca7Si16O40